Material: MgZrF6
Method: DFT, GGA-PBE
State: optimized geometry

Computed properties:
Volume = 530.3 Å³ per cell
DFT total energy = -6.35 eV/atom
Formation energy = -3988 meV/atom

Cell lengths 8.0941, 8.0941, 8.0941 Å; angles 90.00, 90.00, 90.00 degrees
Last column: nearest neighbours and their distance in Å.
Space group Fm-3m (No. 225)
Symmetry-distinct sites (fractional):
Mg 0.0000 0.0000 0.0000  6 F 2.01
Zr 0.0000 0.0000 0.5000  6 F 2.04
F 0.0000 0.0000 0.2478  1 Mg 2.01, 1 Zr 2.04



Material: Na12Ca4Nb2Si3P6O36
Method: DFT, GGA-PBE
State: optimized geometry

Computed properties:
Volume = 1725.0 Å³ per cell
Total magnetic moment = 0.00 μB/f.u.
DFT total energy = -6.76 eV/atom
Formation energy = -2853 meV/atom

Cell lengths 9.4250, 9.4250, 22.4228 Å; angles 90.00, 90.00, 120.00 degrees
Last column: nearest neighbours and their distance in Å.
Space group P3c1 (No. 158)
Symmetry-distinct sites (fractional):
Na 0.0000 0.0000 0.0858  6 O 2.60-2.65
Na 0.0215 0.3393 0.1657  3 O 2.40-2.68
Na 0.3277 0.0408 0.5000  3 O 2.30-2.53
Na 0.3333 0.6667 0.2521  6 O 2.54-2.62
Na 0.3732 0.0278 0.8366  2 O 2.33-2.49
Na 0.6667 0.3333 0.4166  6 O 2.55-2.60
Ca 0.0000 0.0000 0.4366  6 O 2.20-2.38
Ca 0.3333 0.6667 0.1059  6 O 2.21-2.34
Ca 0.6667 0.3333 0.0716  6 O 2.38-2.43
Ca 0.6667 0.3333 0.2686  6 O 2.26-2.28
Nb 0.0000 0.0000 0.2460  6 O 1.95-2.12
Nb 0.3333 0.6667 0.4007  6 O 2.02-2.04
Si 0.0058 0.3063 0.3444  4 O 1.59-1.73
P 0.0367 0.3756 0.0056  4 O 1.53-1.62
P 0.3455 0.0256 0.6750  4 O 1.53-1.60
O 0.0179 0.2033 0.0039  1 P 1.54
O 0.0283 0.1919 0.2889  1 Si 1.73
O 0.1200 0.4553 0.0645  1 P 1.53
O 0.1514 0.4891 0.9517  1 P 1.62
O 0.1523 0.4662 0.6724  1 P 1.55
O 0.1718 0.0148 0.6816  1 P 1.60
O 0.1878 0.4824 0.3449  1 Si 1.69
O 0.2336 0.0294 0.4044  1 Si 1.59
O 0.4224 0.1297 0.6183  1 P 1.55
O 0.4494 0.1076 0.7303  1 P 1.53
O 0.4834 0.1392 0.3319  1 Si 1.60
O 0.4997 0.1288 0.9980  1 P 1.55



Material: Tb3Os
Method: DFT, GGA-PBE
State: optimized geometry

Computed properties:
Volume = 430.1 Å³ per cell
DFT total energy = -6.52 eV/atom
Formation energy = -237 meV/atom

Cell lengths 7.3954, 9.1406, 6.3621 Å; angles 90.00, 90.00, 90.00 degrees
Last column: nearest neighbours and their distance in Å.
Space group Pnma (No. 62)
Symmetry-distinct sites (fractional):
Tb 0.0385 0.2500 0.1325  2 Os 2.79-2.85
Tb 0.1760 0.0638 0.6690  3 Os 2.86-3.20
Os 0.1157 0.7500 0.4576  6 Tb 2.79-2.94



Material: KGaSb4
Method: DFT, GGA-PBE
State: optimized geometry

Computed properties:
Volume = 823.1 Å³ per cell
DFT total energy = -3.67 eV/atom
Formation energy = -352 meV/atom

Cell lengths 10.5707, 4.2753, 18.2124 Å; angles 90.00, 90.00, 90.00 degrees
Last column: nearest neighbours and their distance in Å.
Space group Pnma (No. 62)
Symmetry-distinct sites (fractional):
K 0.1784 0.2500 0.0655  7 Sb 3.70-3.73, 1 Ga 3.87
Ga 0.1827 0.7500 0.3691  4 Sb 2.70-2.72
Sb 0.0335 0.2500 0.5503  1 Ga 2.72, 2 Sb 2.90
Sb 0.0710 0.7500 0.7510  3 Sb 2.87-2.91
Sb 0.1112 0.7500 0.2267  1 Ga 2.70, 2 Sb 2.91
Sb 0.1693 0.7500 0.8979  2 Ga 2.70, 1 Sb 2.87



What is the formation energy in the fourth record?
-352 meV/atom